Entry 1:
# meta-GGA r2SCAN K4B9Se9, optimized geometry
data_K4B9Se9
_space_group_name_H-M_alt 'P 1'
_space_group_IT_number 1
_cell_length_a 9.9251
_cell_length_b 16.0992
_cell_length_c 22.4799
_cell_angle_alpha 107.34
_cell_angle_beta 97.11
_cell_angle_gamma 105.76
loop_
_space_group_symop_operation_xyz
'x,y,z'
loop_
_atom_site_label
_atom_site_fract_x
_atom_site_fract_y
_atom_site_fract_z
B1 0.1433 0.7747 0.3316
B2 0.8773 0.9060 0.0002
B3 0.2538 0.7687 0.3984
B4 0.1850 0.5270 0.8361
B5 0.6929 0.3296 0.6221
B6 0.1264 0.9841 0.9572
B7 0.3307 0.1804 0.1666
B8 0.1195 0.8701 0.4951
B9 0.9891 0.4395 0.6715
B10 0.0984 0.2747 0.9994
B11 0.8561 0.3707 0.6013
B12 0.0495 0.5913 0.3341
B13 0.1695 0.0272 0.0429
B14 0.1642 0.0143 0.8338
B15 0.9401 0.0896 0.0000
B16 0.9454 0.9092 0.9319
B17 0.6331 0.3368 0.8226
B18 0.1997 0.6544 0.3980
B19 0.4594 0.6806 0.4926
B20 0.6694 0.8183 0.8335
B21 0.9952 0.6210 0.6631
B22 0.1216 0.0956 0.0000
B23 0.6245 0.3749 0.5045
B24 0.3490 0.6904 0.1639
B25 0.7126 0.0813 0.6830
B26 0.8122 0.4435 0.6679
B27 0.8366 0.9851 0.1666
B28 0.0141 0.9779 0.0684
B29 0.9837 0.3255 0.6327
B30 0.8100 0.5131 0.1770
B31 0.1059 0.5884 0.2609
B32 0.7223 0.3729 0.7075
B33 0.8025 0.2569 0.6018
B34 0.1691 0.7021 0.2611
B35 0.3166 0.7672 0.3282
B36 0.3499 0.6919 0.3670
B37 0.0279 0.3974 0.3168
B38 0.2193 0.5807 0.3248
B39 0.7163 0.2577 0.6657
B40 0.0573 0.9103 0.0002
B41 0.8296 0.9732 0.9571
B42 0.9087 0.4417 0.7386
B43 0.3309 0.9571 0.3365
B44 0.9852 0.0226 0.9316
B45 0.0138 0.6645 0.2921
B46 0.0697 0.7068 0.3775
B47 0.0539 0.0914 0.0684
B48 0.8728 0.0165 0.0431
B49 0.8457 0.3282 0.7389
B50 0.9667 0.1884 0.5070
B51 0.8955 0.2567 0.6751
B52 0.8884 0.7231 0.0003
B53 0.2948 0.6509 0.2818
B54 0.0138 0.3699 0.7180
Se1 0.4228 0.6312 0.2205
Se2 0.8117 0.6283 0.2430
Se3 0.6363 0.9240 0.8965
Se4 0.8605 0.8026 0.8501
Se5 0.2479 0.6308 0.4796
Se6 0.6393 0.4299 0.1157
Se7 0.9513 0.2704 0.3027
Se8 0.3958 0.0815 0.3416
Se9 0.3631 0.0756 0.1025
Se10 0.3154 0.8762 0.4806
Se11 0.9870 0.0436 0.8487
Se12 0.5195 0.3190 0.5606
Se13 0.9112 0.4790 0.3392
Se14 0.2478 0.2162 0.0000
Se15 0.7474 0.7879 0.0005
Se16 0.1181 0.2871 0.5792
Se17 0.5693 0.3861 0.7565
Se18 0.2345 0.0219 0.7602
Se19 0.6499 0.9683 0.6970
Se20 0.2029 0.4114 0.7794
Se21 0.5733 0.1404 0.6608
Se22 0.5255 0.4084 0.4425
Se23 0.3455 0.6146 0.9020
Se24 0.9171 0.1413 0.6852
Se25 0.9920 0.4851 0.1798
Se26 0.5380 0.7070 0.4204
Se27 0.2302 0.4552 0.3148
Se28 0.9006 0.2050 0.9995
Se29 0.0554 0.7404 0.6581
Se30 0.7402 0.0278 0.1037
Se31 0.1473 0.3980 0.9987
Se32 0.9580 0.7584 0.4389
Se33 0.5851 0.7073 0.5721
Se34 0.1789 0.7277 0.1793
Se35 0.0118 0.9538 0.1504
Se36 0.9998 0.5490 0.8204
Se37 0.4607 0.8827 0.3308
Se38 0.4444 0.7128 0.0984
Se39 0.1265 0.8956 0.3321
Se40 0.8351 0.3960 0.5190
Se41 0.7686 0.1517 0.5203
Se42 0.1308 0.5525 0.6691
Se43 0.0881 0.7920 0.0004
Se44 0.2599 0.9725 0.8974
Se45 0.5233 0.3151 0.8839
Se46 0.1390 0.1955 0.1514
Se47 0.8124 0.3061 0.8200
Se48 0.7950 0.5638 0.6670
Se49 0.4739 0.2605 0.2408
Se50 0.0833 0.9657 0.5573
Se51 0.0120 0.1354 0.4274
Se52 0.8216 0.6004 0.0003
Se53 0.7649 0.9748 0.2394
Se54 0.5250 0.7358 0.7604
K1 0.4149 0.9406 0.1954
K2 0.3031 0.3978 0.1445
K3 0.1600 0.2516 0.8538
K4 0.1364 0.1358 0.2843
K5 0.7950 0.7551 0.1484
K6 0.8519 0.8508 0.7160
K7 0.5791 0.4844 0.3188
K8 0.3036 0.0868 0.4810
K9 0.8230 0.6061 0.5187
K10 0.5799 0.1000 0.8301
K11 0.1742 0.3688 0.4476
K12 0.1374 0.5961 0.0008
K13 0.7201 0.2061 0.3805
K14 0.4833 0.5068 0.9999
K15 0.8226 0.9139 0.3689
K16 0.7269 0.9200 0.5523
K17 0.8111 0.3907 0.9993
K18 0.3411 0.8251 0.6194
K19 0.6452 0.6063 0.8523
K20 0.7483 0.2689 0.1696
K21 0.2603 0.1651 0.6799
K22 0.2199 0.7454 0.8043
K23 0.4535 0.5444 0.6311
K24 0.4476 0.8385 0.9999
# **Mass density**: 2.99 g/cm³
# **DFT total energy**: -1403.5 eV for the cell shown
# **Crystal system**: triclinic



Entry 2:
# meta-GGA r2SCAN Pr4MgRh, optimized geometry
data_Pr4MgRh
_space_group_name_H-M_alt 'P 1'
_space_group_IT_number 1
_cell_length_a 10.0763
_cell_length_b 10.0764
_cell_length_c 10.0765
_cell_angle_alpha 60.00
_cell_angle_beta 60.00
_cell_angle_gamma 60.00
loop_
_space_group_symop_operation_xyz
'x,y,z'
loop_
_atom_site_label
_atom_site_fract_x
_atom_site_fract_y
_atom_site_fract_z
Rh1 0.5746 0.1418 0.1417
Rh2 0.1418 0.1417 0.5747
Rh3 0.1419 0.1418 0.1417
Rh4 0.1419 0.5747 0.1417
Pr1 0.3464 0.3463 0.3463
Pr2 0.1884 0.8116 0.8116
Pr3 0.3464 0.3463 0.9610
Pr4 0.9610 0.3464 0.3463
Pr5 0.5624 0.5625 0.9376
Pr6 0.9375 0.5625 0.5625
Pr7 0.5624 0.9375 0.5625
Pr8 0.9375 0.9376 0.5625
Pr9 0.8116 0.8116 0.1884
Pr10 0.3464 0.9610 0.3463
Pr11 0.8115 0.1884 0.8117
Pr12 0.1884 0.1884 0.8116
Pr13 0.1884 0.8116 0.1883
Pr14 0.8116 0.1884 0.1884
Pr15 0.5624 0.9375 0.9376
Pr16 0.9375 0.5625 0.9376
Mg1 0.5787 0.2638 0.5787
Mg2 0.2638 0.5787 0.5787
Mg3 0.5787 0.5788 0.5788
Mg4 0.5787 0.5787 0.2638
# **Mass density**: 6.34 g/cm³
# **DFT total energy**: -592.0 eV for the cell shown
# **Crystal system**: cubic



Entry 3:
# meta-GGA r2SCAN CeAlNi4, optimized geometry
data_CeAlNi4
_space_group_name_H-M_alt 'P 1'
_space_group_IT_number 1
_cell_length_a 4.8318
_cell_length_b 4.8318
_cell_length_c 4.0556
_cell_angle_alpha 90.00
_cell_angle_beta 90.00
_cell_angle_gamma 117.50
loop_
_space_group_symop_operation_xyz
'x,y,z'
loop_
_atom_site_label
_atom_site_fract_x
_atom_site_fract_y
_atom_site_fract_z
Ni1 0.5000 0.0000 0.5000
Ni2 0.3290 0.6710 0.0000
Ni3 0.0000 0.5000 0.5000
Ni4 0.6710 0.3290 0.0000
Al1 0.5000 0.5000 0.5000
Ce1 0.0000 0.0000 0.0000
# **Mass density**: 7.95 g/cm³
# **DFT total energy**: -88.3 eV for the cell shown
# **Crystal system**: orthorhombic



Entry 4:
# meta-GGA r2SCAN Be3Cd4Si3TeO12, optimized geometry
data_Be3Cd4Si3TeO12
_space_group_name_H-M_alt 'P 1'
_space_group_IT_number 1
_cell_length_a 8.6034
_cell_length_b 8.6034
_cell_length_c 8.6034
_cell_angle_alpha 90.00
_cell_angle_beta 90.00
_cell_angle_gamma 90.00
loop_
_space_group_symop_operation_xyz
'x,y,z'
loop_
_atom_site_label
_atom_site_fract_x
_atom_site_fract_y
_atom_site_fract_z
O1 0.5624 0.1463 0.8540
O2 0.8537 0.1460 0.5624
O3 0.3537 0.0624 0.6460
O4 0.1460 0.5624 0.8537
O5 0.0624 0.6460 0.3537
O6 0.1463 0.8540 0.5624
O7 0.3537 0.9376 0.3540
O8 0.0624 0.3540 0.6463
O9 0.4376 0.8537 0.8540
O10 0.6460 0.3537 0.0624
O11 0.3540 0.3537 0.9376
O12 0.6460 0.6463 0.9376
O13 0.1463 0.1460 0.4376
O14 0.5624 0.8537 0.1460
O15 0.8540 0.4376 0.8537
O16 0.6463 0.0624 0.3540
O17 0.9376 0.6460 0.6463
O18 0.8540 0.5624 0.1463
O19 0.8537 0.8540 0.4376
O20 0.4376 0.1463 0.1460
O21 0.3540 0.6463 0.0624
O22 0.6463 0.9376 0.6460
O23 0.9376 0.3540 0.3537
O24 0.1460 0.4376 0.1463
Be1 0.0000 0.7500 0.5000
Be2 0.0000 0.2500 0.5000
Be3 0.5000 0.0000 0.2500
Be4 0.2500 0.5000 0.0000
Be5 0.7500 0.5000 0.0000
Be6 0.5000 0.0000 0.7500
Cd1 0.8146 0.1854 0.8146
Cd2 0.1854 0.8146 0.8146
Cd3 0.6854 0.6854 0.6854
Cd4 0.1854 0.1854 0.1854
Cd5 0.3146 0.6854 0.3146
Cd6 0.3146 0.3146 0.6854
Cd7 0.6854 0.3146 0.3146
Cd8 0.8146 0.8146 0.1854
Si1 0.2500 0.0000 0.5000
Si2 0.5000 0.2500 0.0000
Si3 0.0000 0.5000 0.2500
Si4 0.7500 0.0000 0.5000
Si5 0.0000 0.5000 0.7500
Si6 0.5000 0.7500 0.0000
Te1 0.5000 0.5000 0.5000
Te2 0.0000 0.0000 0.0000
# **Mass density**: 4.59 g/cm³
# **DFT total energy**: -544.3 eV for the cell shown
# **Crystal system**: cubic